No. 1
{"formula": "DyAgS2", "functional": "meta-GGA r2SCAN", "state": "relaxed", "cell": [[-5.027, -5.579, 1.321], [1.739, -3.158, -6.719], [8.922, -6.743, 5.477]], "species": ["S", "Dy", "S", "S", "S", "Ag", "S", "S", "Ag", "Dy", "S", "Ag", "S", "S", "S", "S", "Dy", "Ag", "S", "Dy", "Dy", "Dy", "Ag", "Dy", "Ag", "Ag", "S", "Dy", "Ag", "S", "S", "S"], "frac_coords": [[0.274, 0.020, 0.974], [0.254, 0.000, 0.753], [0.978, 0.276, 0.218], [0.028, 0.776, 0.283], [0.523, 0.730, 0.224], [0.264, 0.996, 0.314], [0.983, 0.770, 0.724], [0.774, 0.980, 0.026], [0.515, 0.232, 0.937], [0.003, 0.251, 0.997], [0.528, 0.224, 0.717], [0.740, 0.494, 0.186], [0.777, 0.024, 0.467], [0.483, 0.230, 0.276], [0.232, 0.480, 0.474], [0.023, 0.270, 0.776], [0.752, 0.500, 0.747], [0.015, 0.768, 0.063], [0.228, 0.524, 0.033], [0.503, 0.249, 0.497], [0.754, 0.000, 0.247], [0.252, 0.500, 0.253], [0.989, 0.269, 0.438], [0.503, 0.749, 0.003], [0.764, 0.004, 0.686], [0.240, 0.506, 0.814], [0.728, 0.476, 0.967], [0.003, 0.751, 0.503], [0.489, 0.731, 0.562], [0.478, 0.724, 0.782], [0.732, 0.520, 0.526], [0.277, 0.976, 0.533]], "magnetic_moment_mub_per_atom": 0.00, "dft_energy_ev_per_atom": -18.898, "density_g_cm3": 6.1}



No. 2
{"formula": "Mn3Pd5", "functional": "meta-GGA r2SCAN", "state": "relaxed", "cell": [[0.000, -4.099, 0.000], [-4.084, 0.000, -3.585], [4.084, 0.000, -3.585]], "species": ["Mn", "Pd", "Pd", "Mn", "Mn", "Pd", "Pd", "Pd"], "frac_coords": [[0.500, 0.724, 0.276], [0.500, 0.224, 0.224], [0.000, 0.500, 0.000], [0.500, 0.276, 0.724], [0.000, 0.000, 0.000], [0.000, 0.500, 0.500], [0.500, 0.776, 0.776], [0.000, 0.000, 0.500]], "magnetic_moment_mub_per_atom": 1.74, "dft_energy_ev_per_atom": -20.360, "density_g_cm3": 9.6}



No. 3
{"formula": "Sm2InAg", "functional": "meta-GGA r2SCAN", "state": "relaxed", "cell": [[4.717, 2.295, 0.993], [0.212, 4.620, 2.668], [1.914, 0.120, 4.983]], "species": ["Sm", "Sm", "In", "Ag"], "frac_coords": [[0.750, 0.750, 0.750], [0.250, 0.250, 0.250], [0.500, 0.500, 0.500], [0.000, 0.000, 0.000]], "magnetic_moment_mub_per_atom": 0.07, "dft_energy_ev_per_atom": -26.316, "density_g_cm3": 8.1}



No. 4
{"formula": "SmTmRh2", "functional": "meta-GGA r2SCAN", "state": "relaxed", "cell": [[3.500, 0.293, 3.327], [-1.007, 1.663, 4.430], [0.006, -3.022, 3.778]], "species": ["Sm", "Rh", "Tm", "Rh"], "frac_coords": [[0.250, 0.250, 0.250], [0.000, 0.000, 0.000], [0.750, 0.750, 0.750], [0.500, 0.500, 0.500]], "magnetic_moment_mub_per_atom": 0.00, "dft_energy_ev_per_atom": -29.164, "density_g_cm3": 10.9}



No. 5
{"formula": "ScIr3", "functional": "meta-GGA r2SCAN", "state": "relaxed", "cell": [[-1.791, 0.657, 3.433], [2.844, -1.969, 1.861], [2.033, 3.334, 0.422]], "species": ["Ir", "Sc", "Ir", "Ir"], "frac_coords": [[0.500, 0.000, 0.500], [0.000, 0.000, 0.000], [0.000, 0.500, 0.500], [0.500, 0.500, 0.000]], "magnetic_moment_mub_per_atom": 0.00, "dft_energy_ev_per_atom": -42.790, "density_g_cm3": 17.0}



No. 6
{"formula": "Na2PbO3", "functional": "meta-GGA r2SCAN", "state": "relaxed", "cell": [[-4.516, -2.860, 2.056], [3.720, -2.629, -3.472], [5.639, -4.944, 8.194]], "species": ["O", "O", "O", "Na", "O", "Na", "Pb", "Na", "Pb", "Na", "O", "O", "O", "Na", "O", "O", "Na", "O", "Na", "Na", "Pb", "Pb", "O", "O"], "frac_coords": [[0.019, 0.187, 0.362], [0.187, 0.019, 0.862], [0.981, 0.813, 0.638], [0.659, 0.817, 0.500], [0.455, 0.265, 0.137], [0.585, 0.415, 0.750], [0.082, 0.918, 0.250], [0.817, 0.659, 0.000], [0.251, 0.749, 0.750], [0.183, 0.341, 0.000], [0.906, 0.378, 0.862], [0.265, 0.455, 0.637], [0.813, 0.981, 0.138], [0.500, 0.000, 0.000], [0.545, 0.735, 0.863], [0.735, 0.545, 0.363], [0.415, 0.585, 0.250], [0.378, 0.906, 0.362], [0.000, 0.500, 0.500], [0.341, 0.183, 0.500], [0.918, 0.082, 0.750], [0.749, 0.251, 0.250], [0.094, 0.622, 0.138], [0.622, 0.094, 0.638]], "magnetic_moment_mub_per_atom": 0.00, "dft_energy_ev_per_atom": -15.070, "density_g_cm3": 6.4}



No. 7
{"formula": "Dy2Te5O13", "functional": "meta-GGA r2SCAN", "state": "relaxed", "cell": [[-2.397, 2.970, 5.822], [2.292, 6.588, -5.103], [-9.513, -0.002, -4.604]], "species": ["O", "Te", "O", "O", "O", "Te", "Dy", "O", "Te", "O", "Te", "O", "Te", "Te", "Te", "O", "O", "O", "Te", "O", "O", "O", "Te", "Dy", "O", "Dy", "Te", "O", "O", "O", "O", "O", "O", "O", "O", "O", "O", "O", "Dy", "O"], "frac_coords": [[0.327, 0.258, 0.229], [0.565, 0.902, 0.303], [0.765, 0.495, 0.185], [0.313, 0.266, 0.711], [0.937, 0.819, 0.035], [0.435, 0.098, 0.697], [0.553, 0.473, 0.821], [0.460, 0.805, 0.480], [0.726, 0.395, 0.484], [0.534, 0.673, 0.997], [0.708, 0.879, 0.973], [0.047, 0.650, 0.436], [0.846, 0.804, 0.639], [0.154, 0.196, 0.361], [0.877, 0.349, 0.107], [0.941, 0.016, 0.693], [0.334, 0.486, 0.383], [0.122, 0.509, 0.106], [0.274, 0.605, 0.516], [0.235, 0.505, 0.815], [0.668, 0.224, 0.777], [0.063, 0.181, 0.965], [0.292, 0.121, 0.027], [0.003, 0.738, 0.238], [0.666, 0.514, 0.617], [0.997, 0.262, 0.762], [0.123, 0.651, 0.893], [0.687, 0.734, 0.289], [0.953, 0.350, 0.564], [0.344, 0.020, 0.874], [0.332, 0.776, 0.223], [0.063, 0.731, 0.722], [0.540, 0.195, 0.520], [0.466, 0.327, 0.003], [0.673, 0.742, 0.771], [0.059, 0.984, 0.307], [0.656, 0.980, 0.126], [0.937, 0.269, 0.278], [0.447, 0.527, 0.179], [0.878, 0.491, 0.894]], "magnetic_moment_mub_per_atom": 0.00, "dft_energy_ev_per_atom": -15.340, "density_g_cm3": 6.3}



No. 8
{"formula": "SiBr4", "functional": "meta-GGA r2SCAN", "state": "relaxed", "cell": [[11.243, 0.000, 0.000], [0.000, 11.243, 0.000], [0.000, 0.000, 11.243]], "species": ["Br", "Br", "Br", "Br", "Br", "Si", "Br", "Br", "Br", "Br", "Br", "Si", "Br", "Br", "Si", "Br", "Br", "Br", "Br", "Br", "Si", "Si", "Br", "Si", "Br", "Br", "Br", "Si", "Br", "Br", "Br", "Br", "Br", "Br", "Br", "Br", "Br", "Br", "Br", "Si"], "frac_coords": [[0.255, 0.973, 0.512], [0.245, 0.473, 0.512], [0.745, 0.255, 0.755], [0.988, 0.755, 0.973], [0.473, 0.988, 0.745], [0.367, 0.867, 0.633], [0.527, 0.488, 0.755], [0.255, 0.527, 0.012], [0.745, 0.245, 0.255], [0.012, 0.255, 0.527], [0.755, 0.973, 0.988], [0.867, 0.633, 0.367], [0.027, 0.488, 0.745], [0.527, 0.012, 0.255], [0.367, 0.633, 0.133], [0.245, 0.245, 0.245], [0.255, 0.745, 0.245], [0.012, 0.245, 0.027], [0.255, 0.755, 0.745], [0.973, 0.512, 0.255], [0.867, 0.867, 0.867], [0.133, 0.133, 0.133], [0.488, 0.745, 0.027], [0.133, 0.367, 0.633], [0.755, 0.745, 0.255], [0.027, 0.012, 0.245], [0.755, 0.527, 0.488], [0.633, 0.367, 0.867], [0.745, 0.473, 0.988], [0.245, 0.027, 0.012], [0.488, 0.755, 0.527], [0.245, 0.255, 0.745], [0.512, 0.255, 0.973], [0.473, 0.512, 0.245], [0.988, 0.745, 0.473], [0.745, 0.027, 0.488], [0.512, 0.245, 0.473], [0.755, 0.755, 0.755], [0.973, 0.988, 0.755], [0.633, 0.133, 0.367]], "magnetic_moment_mub_per_atom": 0.00, "dft_energy_ev_per_atom": -13.281, "density_g_cm3": 3.3}



No. 9
{"formula": "NpSi2Ru2", "functional": "meta-GGA r2SCAN", "state": "relaxed", "cell": [[-3.230, 2.600, 0.509], [-2.487, -3.253, 0.830], [3.907, 0.715, 3.995]], "species": ["Si", "Ru", "Si", "Ru", "Np"], "frac_coords": [[0.632, 0.632, 0.264], [0.250, 0.750, 0.500], [0.368, 0.368, 0.736], [0.750, 0.250, 0.500], [0.000, 0.000, 0.000]], "magnetic_moment_mub_per_atom": 0.75, "dft_energy_ev_per_atom": -31.137, "density_g_cm3": 9.8}



No. 10
{"formula": "ErBi", "functional": "meta-GGA r2SCAN", "state": "relaxed", "cell": [[3.834, 0.000, 2.214], [1.278, 3.615, 2.214], [0.000, 0.000, 4.427]], "species": ["Er", "Bi"], "frac_coords": [[0.500, 0.500, 0.500], [0.000, 0.000, 0.000]], "magnetic_moment_mub_per_atom": 0.00, "dft_energy_ev_per_atom": -47.223, "density_g_cm3": 10.2}



No. 11
{"formula": "FeWO4", "functional": "meta-GGA r2SCAN", "state": "relaxed", "cell": [[-3.930, 0.594, 2.505], [-2.526, -2.780, -3.281], [1.210, -4.639, 2.999]], "species": ["O", "O", "Fe", "O", "O", "O", "O", "O", "W", "W", "Fe", "O"], "frac_coords": [[0.741, 0.896, 0.624], [0.216, 0.069, 0.888], [0.500, 0.750, 0.337], [0.784, 0.931, 0.112], [0.741, 0.396, 0.376], [0.259, 0.604, 0.624], [0.216, 0.569, 0.112], [0.784, 0.431, 0.888], [0.000, 0.250, 0.177], [0.000, 0.750, 0.823], [0.500, 0.250, 0.663], [0.259, 0.104, 0.376]], "magnetic_moment_mub_per_atom": 0.67, "dft_energy_ev_per_atom": -16.976, "density_g_cm3": 7.6}



No. 12
{"formula": "CeAlCu", "functional": "meta-GGA r2SCAN", "state": "relaxed", "cell": [[-5.876, 2.320, -3.381], [1.869, -6.907, -0.393], [-2.243, -0.798, 3.350]], "species": ["Cu", "Cu", "Ce", "Al", "Ce", "Al", "Al", "Ce", "Cu"], "frac_coords": [[0.667, 0.333, 0.000], [0.000, 0.000, 0.500], [0.000, 0.575, 0.500], [0.000, 0.226, 0.000], [0.425, 0.425, 0.500], [0.226, 0.000, 0.000], [0.774, 0.774, 0.000], [0.575, 0.000, 0.500], [0.333, 0.667, 0.000]], "magnetic_moment_mub_per_atom": 0.34, "dft_energy_ev_per_atom": -16.502, "density_g_cm3": 6.3}